1.
Below is a relaxed structure of MgIr, with properties calculated at the PBE level.

CIF file:
```
data_MgIr
_chemical_formula_sum 'Mg2 Ir2'
_symmetry_space_group_name_H-M 'P m m a'
_symmetry_Int_Tables_number 51
_symmetry_space_group_name_Hall '-P 2a 2a'
_cell_length_a 4.414
_cell_length_b 3.120
_cell_length_c 4.414
_cell_angle_alpha 90.00
_cell_angle_beta 90.00
_cell_angle_gamma 90.00
loop_
_atom_site_label
_atom_site_fract_x
_atom_site_fract_y
_atom_site_fract_z
Mg1 0.250 0.000 0.234
Ir1 0.250 0.500 0.732
```

2.
Below is a relaxed structure of Sc, with properties calculated at the PBE level.

CIF file:
```
data_Sc
_chemical_formula_sum 'Sc2'
_symmetry_space_group_name_H-M 'P 63/m m c'
_symmetry_Int_Tables_number 194
_symmetry_space_group_name_Hall '-P 6c 2c'
_cell_length_a 3.3187
_cell_length_b 3.3187
_cell_length_c 5.1780
_cell_angle_alpha 90.00
_cell_angle_beta 90.00
_cell_angle_gamma 120.00
loop_
_atom_site_label
_atom_site_fract_x
_atom_site_fract_y
_atom_site_fract_z
Sc1 0.3333 0.6667 0.2500
```

Computed properties:
The excess energy over the best structure of this formula in the dataset is 0 meV/atom.

3.
Below is a relaxed structure of Ba3TmB3O9, with properties calculated at the PBE level.

CIF file:
```
data_Ba3TmB3O9
_chemical_formula_sum 'Ba18 Tm6 B18 O54'
_symmetry_space_group_name_H-M 'P 63 c m'
_symmetry_Int_Tables_number 185
_symmetry_space_group_name_Hall 'P 6c -2'
_cell_length_a 9.4701
_cell_length_b 9.4701
_cell_length_c 17.9491
_cell_angle_alpha 90.00
_cell_angle_beta 90.00
_cell_angle_gamma 120.00
loop_
_atom_site_label
_atom_site_fract_x
_atom_site_fract_y
_atom_site_fract_z
Ba1 0.0000 0.0000 0.0869
Ba2 0.0000 0.3177 0.2405
Ba3 0.0000 0.3481 0.0000
Ba4 0.3333 0.6667 0.1473
Tm1 0.0000 0.0000 0.3732
Tm2 0.3333 0.6667 0.3672
B1 0.0000 0.3266 0.4427
B2 0.0000 0.3326 0.6193
B3 0.0000 0.3398 0.7926
O1 0.0000 0.1809 0.4523
O2 0.0000 0.1933 0.8022
O3 0.0000 0.4799 0.6191
O4 0.1473 0.3327 0.6197
O5 0.1467 0.4732 0.4382
O6 0.1473 0.4860 0.7875
```

4.
Below is a relaxed structure of CaEu2Ge4O12, with properties calculated at the PBE level.

CIF file:
```
data_CaEu2Ge4O12
_chemical_formula_sum 'Ca4 Eu8 Ge16 O48'
_symmetry_space_group_name_H-M 'C m m e'
_symmetry_Int_Tables_number 67
_symmetry_space_group_name_Hall '-C 2a 2'
_cell_length_a 14.483
_cell_length_b 14.512
_cell_length_c 5.189
_cell_angle_alpha 90.00
_cell_angle_beta 90.00
_cell_angle_gamma 90.00
loop_
_atom_site_label
_atom_site_fract_x
_atom_site_fract_y
_atom_site_fract_z
Ca1 0.250 0.250 0.000
Eu1 0.000 0.000 0.000
Eu2 0.250 0.000 0.000
Ge1 0.113 0.138 0.498
O1 0.000 0.128 0.345
O2 0.116 0.059 0.752
O3 0.121 0.250 0.654
O4 0.192 0.131 0.246
```

Number 1: DFT formation energy -0.278 eV/atom, calculated total energy -5.50 eV per atom. Number 2: DFT formation energy 0.000 eV/atom, calculated total energy -6.33 eV per atom. Number 3: DFT formation energy -3.316 eV/atom, calculated total energy -7.60 eV per atom. Number 4: DFT formation energy -2.594 eV/atom, calculated total energy -7.44 eV per atom.